The following is a DFT calculation (PBE-GGA) of a relaxed structure of LaAlSi.

Cell and atoms, written as POSCAR:
```
LaAlSi
1.0
-2.162 2.162 7.372
2.162 -2.162 7.372
2.162 2.162 -7.372
La Al Si
2 2 2
Direct
0.000 0.000 0.000
0.750 0.250 0.500
0.333 0.833 0.500
0.583 0.583 0.000
0.167 0.667 0.500
0.417 0.417 0.000
```

Results
The final energy is -5.38 eV/atom. Its energy of formation is -0.65 eV per atom.


The following is a DFT calculation (PBE-GGA) of a relaxed structure of LaAlSi2.

Cell and atoms, written as POSCAR:
```
LaAlSi2
1.0
4.183 0.000 0.000
-2.092 3.623 0.000
0.000 0.000 11.461
La Al Si
2 2 4
Direct
0.000 0.000 0.183
0.000 0.000 0.817
0.333 0.667 0.582
0.667 0.333 0.418
0.333 0.667 0.357
0.333 0.667 0.994
0.667 0.333 0.006
0.667 0.333 0.643
```

Results
The final energy is -5.40 eV/atom. Its energy of formation is -0.49 eV per atom.